Material: LiSbP4O12
Method: DFT, PBE
State: optimized geometry

Lattice parameters (Å, degrees): 9.3523 10.3564 12.5809 55.11 90.00 90.00
Element x y z (fractional)
P 0.6592 0.7976 0.0361
P 0.3876 0.1066 0.6513
P 0.8920 0.2924 0.1903
P 0.4941 0.5119 0.2275
P 0.6080 0.2924 0.6903
P 0.0059 0.5119 0.7275
P 0.3920 0.7076 0.3097
P 0.3408 0.2024 0.9639
P 0.6123 0.8934 0.3487
P 0.5059 0.4881 0.7725
P 0.1124 0.1066 0.1513
P 0.8876 0.8934 0.8487
P 0.1080 0.7076 0.8097
P 0.8408 0.7976 0.5361
P 0.1592 0.2024 0.4639
P 0.9941 0.4881 0.2725
O 0.5195 0.8608 0.9604
O 0.9805 0.8608 0.4604
O 0.1875 0.9771 0.2710
O 0.9504 0.4548 0.1657
O 0.9887 0.9380 0.9162
O 0.3404 0.8130 0.1721
O 0.2672 0.1111 0.9211
O 0.5337 0.3433 0.2988
O 0.6875 0.0229 0.2290
O 0.6219 0.4261 0.8756
O 0.8125 0.0229 0.7290
O 0.2666 0.2285 0.5493
O 0.9587 0.7755 0.8215
O 0.3781 0.5739 0.1244
O 0.2051 0.6656 0.9202
O 0.6596 0.1870 0.8279
O 0.0413 0.2245 0.1785
O 0.2334 0.2285 0.0493
O 0.9663 0.3433 0.7988
O 0.0337 0.6567 0.2012
O 0.4587 0.2245 0.6785
O 0.0195 0.1392 0.5396
O 0.4887 0.0620 0.5838
O 0.1362 0.3812 0.3407
O 0.6362 0.6188 0.1593
O 0.4504 0.5452 0.3343
O 0.8638 0.6188 0.6593
O 0.5496 0.4548 0.6657
O 0.2949 0.6656 0.4202
O 0.0496 0.5452 0.8343
O 0.7334 0.7715 0.4507
O 0.5113 0.9380 0.4162
O 0.8404 0.1870 0.3279
O 0.4663 0.6567 0.7012
O 0.7672 0.8889 0.5789
O 0.7666 0.7715 0.9507
O 0.7051 0.3344 0.5798
O 0.2328 0.1111 0.4211
O 0.7949 0.3344 0.0798
O 0.5413 0.7755 0.3215
O 0.3638 0.3812 0.8407
O 0.0113 0.0620 0.0838
O 0.4805 0.1392 0.0396
O 0.8781 0.4261 0.3756
O 0.1596 0.8130 0.6721
O 0.3125 0.9771 0.7710
O 0.1219 0.5739 0.6244
O 0.7328 0.8889 0.0789
Li 0.9463 0.8628 0.1100
Li 0.0537 0.1372 0.8900
Li 0.5537 0.8628 0.6100
Li 0.4463 0.1372 0.3900
Sb 0.7973 0.1888 0.5076
Sb 0.2027 0.8112 0.4924
Sb 0.2973 0.8112 0.9924
Sb 0.7027 0.1888 0.0076

## Properties
Final energy (hartree per atom): -0.253
SG: P2_1/c (14)
ΔE_f (eV/f.u.): -45.133
Excess energy over the best structure of this formula in the dataset (eV per atom): 0.012

=====

Material: LiSbP4O12
Method: DFT, PBE
State: optimized geometry

Lattice parameters (Å, degrees): 7.5427 7.5427 10.3586 66.75 66.75 70.69
Element x y z (fractional)
O 0.1031 0.8245 0.4101
O 0.4701 0.6968 0.3380
O 0.3006 0.8055 0.5713
O 0.2436 0.4975 0.5562
O 0.6968 0.4701 0.8380
O 0.7205 0.8632 0.3267
O 0.4975 0.2436 0.0562
O 0.8245 0.1031 0.9101
O 0.6994 0.1945 0.4287
O 0.5299 0.3032 0.6620
O 0.1368 0.2795 0.1733
O 0.1945 0.6994 0.9287
O 0.5025 0.7564 0.9438
O 0.6397 0.8135 0.6626
O 0.8969 0.1755 0.5899
O 0.8055 0.3006 0.0713
O 0.2795 0.1368 0.6733
O 0.1755 0.8969 0.0899
O 0.8135 0.6397 0.1626
O 0.7564 0.5025 0.4438
O 0.3032 0.5299 0.1620
O 0.8632 0.7205 0.8267
O 0.1865 0.3603 0.8374
O 0.3603 0.1865 0.3374
P 0.2806 0.7268 0.0271
P 0.2964 0.3177 0.6961
P 0.7268 0.2806 0.5271
P 0.6823 0.7036 0.8039
P 0.2732 0.7194 0.4729
P 0.3177 0.2964 0.1961
P 0.7194 0.2732 0.9729
P 0.7036 0.6823 0.3039
Sb 0.9567 0.0433 0.2500
Sb 0.0433 0.9567 0.7500
Li 0.5000 0.0000 0.5000
Li 0.0000 0.5000 0.0000

## Properties
Final energy (hartree per atom): -0.253
SG: C2/c (15)
ΔE_f (eV/f.u.): -45.097
Excess energy over the best structure of this formula in the dataset (eV per atom): 0.014

=====

Material: LiSbP4O12
Method: DFT, PBE
State: optimized geometry

Lattice parameters (Å, degrees): 9.0185 7.4322 16.5619 69.59 90.00 90.00
Element x y z (fractional)
O 0.5942 0.7299 0.3679
O 0.8509 0.2037 0.8655
O 0.0418 0.1785 0.7642
O 0.5418 0.8215 0.7358
O 0.2139 0.5386 0.5986
O 0.3419 0.5648 0.7919
O 0.1376 0.7942 0.9814
O 0.1318 0.2162 0.6135
O 0.7777 0.6080 0.0177
O 0.8742 0.1081 0.2671
O 0.8793 0.1195 0.4568
O 0.0473 0.4629 0.8105
O 0.3742 0.8919 0.2329
O 0.1491 0.7963 0.1345
O 0.1581 0.5648 0.2919
O 0.6113 0.0609 0.1579
O 0.6318 0.7838 0.8865
O 0.3682 0.2162 0.1135
O 0.2223 0.3920 0.9823
O 0.6258 0.1081 0.7671
O 0.7861 0.4614 0.4014
O 0.9527 0.5371 0.1895
O 0.9058 0.7299 0.8679
O 0.1258 0.8919 0.7329
O 0.6581 0.4352 0.2081
O 0.0942 0.2701 0.1321
O 0.6207 0.1195 0.9568
O 0.1207 0.8805 0.5432
O 0.8887 0.0609 0.6579
O 0.2861 0.5386 0.0986
O 0.5473 0.5371 0.6895
O 0.6491 0.2037 0.3655
O 0.4527 0.4629 0.3105
O 0.1113 0.9391 0.3421
O 0.8682 0.7838 0.3865
O 0.3624 0.7942 0.4814
O 0.4582 0.1785 0.2642
O 0.9582 0.8215 0.2358
O 0.8419 0.4352 0.7081
O 0.3793 0.8805 0.0432
O 0.7223 0.6080 0.5177
O 0.4058 0.2701 0.6321
O 0.3887 0.9391 0.8421
O 0.2777 0.3920 0.4823
O 0.8624 0.2058 0.0186
O 0.6376 0.2058 0.5186
O 0.7139 0.4614 0.9014
O 0.3509 0.7963 0.6345
Sb 0.8518 0.3324 0.1411
Sb 0.3518 0.6676 0.3589
Sb 0.1482 0.6676 0.8589
Sb 0.6482 0.3324 0.6411
Li 0.4135 0.0734 0.9277
Li 0.9135 0.9266 0.5723
Li 0.0865 0.0734 0.4277
Li 0.5865 0.9266 0.0723
P 0.2712 0.3528 0.5775
P 0.5588 0.3378 0.2837
P 0.7394 0.2368 0.4438
P 0.2288 0.3528 0.0775
P 0.2606 0.7632 0.5562
P 0.4412 0.6622 0.7163
P 0.7288 0.6472 0.4225
P 0.0588 0.6622 0.2163
P 0.9412 0.3378 0.7837
P 0.5391 0.9240 0.8067
P 0.2394 0.7632 0.0562
P 0.7606 0.2368 0.9438
P 0.7712 0.6472 0.9225
P 0.0391 0.0760 0.6933
P 0.9609 0.9240 0.3067
P 0.4609 0.0760 0.1933

## Properties
Final energy (hartree per atom): -0.252
SG: P2_1/c (14)
ΔE_f (eV/f.u.): -44.784
Excess energy over the best structure of this formula in the dataset (eV per atom): 0.032

=====

Material: Li3Sb2P3O12
Method: DFT, PBE
State: optimized geometry

Lattice parameters (Å, degrees): 9.6576 9.6576 9.6576 54.80 54.80 54.80
Element x y z (fractional)
Sb 0.8431 0.8431 0.8431
Sb 0.1569 0.1569 0.1569
Sb 0.3488 0.3488 0.3488
Sb 0.6512 0.6512 0.6512
O 0.8048 0.5943 0.9902
O 0.4228 0.8707 0.7982
O 0.5943 0.9902 0.8048
O 0.4057 0.0098 0.1952
O 0.1740 0.8314 0.2635
O 0.1410 0.5285 0.5133
O 0.4867 0.8590 0.4715
O 0.8260 0.1686 0.7365
O 0.9902 0.8048 0.5943
O 0.4715 0.4867 0.8590
O 0.1293 0.2018 0.5772
O 0.5133 0.1410 0.5285
O 0.5285 0.5133 0.1410
O 0.2018 0.5772 0.1293
O 0.5772 0.1293 0.2018
O 0.1952 0.4057 0.0098
O 0.7365 0.8260 0.1686
O 0.8314 0.2635 0.1740
O 0.8707 0.7982 0.4228
O 0.1686 0.7365 0.8260
O 0.2635 0.1740 0.8314
O 0.7982 0.4228 0.8707
O 0.8590 0.4715 0.4867
O 0.0098 0.1952 0.4057
Li 0.7429 0.0672 0.3301
Li 0.0672 0.3301 0.7429
Li 0.3301 0.7429 0.0672
Li 0.6699 0.2571 0.9328
Li 0.9328 0.6699 0.2571
Li 0.2571 0.9328 0.6699
P 0.9530 0.2583 0.5525
P 0.0470 0.7417 0.4475
P 0.7417 0.4475 0.0470
P 0.2583 0.5525 0.9530
P 0.4475 0.0470 0.7417
P 0.5525 0.9530 0.2583

## Properties
Final energy (hartree per atom): -0.240
SG: R-3 (148)
ΔE_f (eV/f.u.): -49.159
Excess energy over the best structure of this formula in the dataset (eV per atom): 0.007

=====

Material: LiSb2P3O12
Method: DFT, PBE
State: optimized geometry

Lattice parameters (Å, degrees): 9.0696 8.7771 15.4628 55.47 90.00 90.00
Element x y z (fractional)
O 0.2371 0.9863 0.3256
O 0.1580 0.4837 0.0600
O 0.9234 0.0690 0.3592
O 0.9980 0.0553 0.7590
O 0.8846 0.7754 0.1686
O 0.1349 0.6240 0.4203
O 0.3550 0.2796 0.0671
O 0.6040 0.1842 0.9770
O 0.6450 0.7204 0.9329
O 0.8550 0.7204 0.4329
O 0.4980 0.9447 0.7410
O 0.8960 0.1842 0.4770
O 0.6580 0.5163 0.4400
O 0.2614 0.6649 0.1908
O 0.7386 0.3351 0.8092
O 0.2386 0.6649 0.6908
O 0.3960 0.8158 0.0230
O 0.5375 0.1107 0.5516
O 0.4234 0.9310 0.1408
O 0.3651 0.6240 0.9203
O 0.6154 0.7754 0.6686
O 0.7614 0.3351 0.3092
O 0.0375 0.8893 0.9484
O 0.8420 0.5163 0.9400
O 0.3846 0.2246 0.3314
O 0.0395 0.3766 0.3018
O 0.0766 0.9310 0.6408
O 0.9625 0.1107 0.0516
O 0.7371 0.0137 0.1744
O 0.8651 0.3760 0.5797
O 0.3249 0.4227 0.4182
O 0.2629 0.9863 0.8256
O 0.6751 0.5773 0.5818
O 0.9605 0.6234 0.6982
O 0.6349 0.3760 0.0797
O 0.7629 0.0137 0.6744
O 0.0020 0.9447 0.2410
O 0.8249 0.5773 0.0818
O 0.3420 0.4837 0.5600
O 0.5766 0.0690 0.8592
O 0.1751 0.4227 0.9182
O 0.5020 0.0553 0.2590
O 0.4625 0.8893 0.4484
O 0.1450 0.2796 0.5671
O 0.5395 0.6234 0.1982
O 0.1040 0.8158 0.5230
O 0.1154 0.2246 0.8314
O 0.4605 0.3766 0.8018
Li 0.2389 0.4075 0.3073
Li 0.7389 0.5925 0.1927
Li 0.7611 0.5925 0.6927
Li 0.2611 0.4075 0.8073
P 0.2394 0.4556 0.4926
P 0.6060 0.9594 0.6578
P 0.7606 0.5444 0.5074
P 0.9104 0.2476 0.3589
P 0.3940 0.0406 0.3422
P 0.7394 0.5444 0.0074
P 0.5896 0.2476 0.8589
P 0.4104 0.7524 0.1411
P 0.8940 0.9594 0.1578
P 0.2606 0.4556 0.9926
P 0.1060 0.0406 0.8422
P 0.0896 0.7524 0.6411
Sb 0.5443 0.1417 0.1124
Sb 0.5472 0.3480 0.3973
Sb 0.9528 0.3480 0.8973
Sb 0.0443 0.8583 0.3876
Sb 0.0472 0.6520 0.1027
Sb 0.4557 0.8583 0.8876
Sb 0.9557 0.1417 0.6124
Sb 0.4528 0.6520 0.6027

## Properties
Final energy (hartree per atom): -0.246
SG: P2_1/c (14)
ΔE_f (eV/f.u.): -42.838

=====

Material: Li3Sc2P3O12
Method: DFT, PBE
State: optimized geometry

Lattice parameters (Å, degrees): 8.9193 8.9373 15.2565 54.66 90.00 90.00
Element x y z (fractional)
O 0.7354 0.0308 0.8096
O 0.3517 0.3871 0.0621
O 0.2646 0.9692 0.1904
O 0.8517 0.6129 0.4379
O 0.4729 0.6133 0.2272
O 0.2551 0.3503 0.3139
O 0.1686 0.7356 0.4202
O 0.7449 0.6497 0.6861
O 0.5809 0.8805 0.4660
O 0.0271 0.6133 0.7272
O 0.5957 0.9057 0.1644
O 0.8621 0.4691 0.0741
O 0.7646 0.0308 0.3096
O 0.5189 0.9599 0.7207
O 0.4811 0.0401 0.2793
O 0.1602 0.5736 0.0784
O 0.9729 0.3867 0.2728
O 0.3314 0.7356 0.9202
O 0.8398 0.4264 0.9216
O 0.2354 0.9692 0.6904
O 0.7551 0.6497 0.1861
O 0.0673 0.1865 0.4654
O 0.6014 0.2289 0.3383
O 0.4191 0.1195 0.5340
O 0.6379 0.4691 0.5741
O 0.9811 0.9599 0.2207
O 0.3621 0.5309 0.4259
O 0.1483 0.3871 0.5621
O 0.8314 0.2644 0.5798
O 0.8986 0.2289 0.8383
O 0.4043 0.0943 0.8356
O 0.3986 0.7711 0.6617
O 0.2449 0.3503 0.8139
O 0.9043 0.9057 0.6644
O 0.9327 0.8135 0.5346
O 0.6686 0.2644 0.0798
O 0.1379 0.5309 0.9259
O 0.5673 0.8135 0.0346
O 0.9191 0.8805 0.9660
O 0.6483 0.6129 0.9379
O 0.4327 0.1865 0.9654
O 0.5271 0.3867 0.7728
O 0.0189 0.0401 0.7793
O 0.3398 0.5736 0.5784
O 0.1014 0.7711 0.1617
O 0.6602 0.4264 0.4216
O 0.0957 0.0943 0.3356
O 0.0809 0.1195 0.0340
Li 0.2310 0.9871 0.8212
Li 0.7690 0.0129 0.1788
Li 0.2263 0.6035 0.6774
Li 0.9106 0.2390 0.2117
Li 0.0894 0.7610 0.7883
Li 0.2737 0.6035 0.1774
Li 0.7737 0.3965 0.3226
Li 0.7310 0.0129 0.6788
Li 0.2690 0.9871 0.3212
Li 0.5894 0.2390 0.7117
Li 0.7263 0.3965 0.8226
Li 0.4106 0.7610 0.2883
Sc 0.4546 0.3536 0.3893
Sc 0.5437 0.8453 0.8937
Sc 0.9546 0.6464 0.1107
Sc 0.0437 0.1547 0.6063
Sc 0.5454 0.6464 0.6107
Sc 0.9563 0.8453 0.3937
Sc 0.0454 0.3536 0.8893
Sc 0.4563 0.1547 0.1063
P 0.1063 0.9542 0.1511
P 0.3937 0.9542 0.6511
P 0.2543 0.5519 0.4979
P 0.8995 0.7458 0.6508
P 0.3995 0.2542 0.8492
P 0.2457 0.5519 0.9979
P 0.1005 0.2542 0.3492
P 0.6063 0.0458 0.3489
P 0.7457 0.4481 0.5021
P 0.8937 0.0458 0.8489
P 0.6005 0.7458 0.1508
P 0.7543 0.4481 0.0021

## Properties
Final energy (hartree per atom): -0.272
SG: P2_1/c (14)
ΔE_f (eV/f.u.): -62.409